Density functional theory data (PBE) for a relaxed structure of KHS2O7.

Summary:
Mass density ... 2.2 g/cm³
Formation enthalpy at 0 K ... -20.50 eV per formula unit
Space-group type ... No. 14
Magnetic moment ... 0.01 μB/f.u.

abc: 7.3880 10.8853 8.5044
angles: 90.00 109.16 90.00
Atoms (fractional coordinates):
O 0.2692 0.4159 0.9364
O 0.0204 0.9641 0.8166
O 0.3243 0.9282 0.6579
O 0.4889 0.1283 0.7127
O 0.9440 0.3157 0.3239
O 0.6757 0.0718 0.3421
O 0.2726 0.4000 0.4650
O 0.0560 0.6843 0.6761
O 0.7308 0.5841 0.0636
O 0.0204 0.5359 0.3166
O 0.9440 0.1843 0.8239
O 0.3243 0.5718 0.1579
O 0.8687 0.6218 0.8443
O 0.5111 0.8717 0.2873
O 0.1313 0.1218 0.6557
O 0.2726 0.1000 0.9650
O 0.9796 0.4641 0.6834
O 0.7274 0.6000 0.5350
O 0.5111 0.6283 0.7873
O 0.6757 0.4282 0.8421
O 0.8687 0.8782 0.3443
O 0.4889 0.3717 0.2127
O 0.1313 0.3782 0.1557
O 0.2692 0.0841 0.4364
O 0.9796 0.0359 0.1834
O 0.7274 0.9000 0.0350
O 0.0560 0.8157 0.1761
O 0.7308 0.9159 0.5636
K 0.3433 0.7045 0.4638
K 0.6567 0.2045 0.0362
K 0.3433 0.7955 0.9638
K 0.6567 0.2955 0.5362
S 0.6736 0.5566 0.8858
S 0.3264 0.0566 0.6142
S 0.0949 0.0989 0.8299
S 0.9051 0.5989 0.6701
S 0.3264 0.4434 0.1142
S 0.9051 0.9011 0.1701
S 0.6736 0.9434 0.3858
S 0.0949 0.4011 0.3299
H 0.0996 0.4505 0.7871
H 0.9004 0.5495 0.2129
H 0.9004 0.9505 0.7129
H 0.0996 0.0495 0.2871